Density functional theory data (PBE) for crystalline Cd3H8S3O12 at its relaxed geometry.

POSCAR file:
```
Cd3H8S3O12
1.0
7.2880 -6.3417 0.0000
7.2880 6.3417 0.0000
-1.4803 0.0000 9.6341
Cd H S O
6 16 6 24
direct
0.0351 0.9649 0.7500 Cd
0.2475 0.4628 0.4679 Cd
0.4628 0.2475 0.9679 Cd
0.5372 0.7525 0.0321 Cd
0.7525 0.5372 0.5321 Cd
0.9649 0.0351 0.2500 Cd
0.0915 0.7403 0.8023 H
0.1311 0.6553 0.0929 H
0.1903 0.3948 0.9080 H
0.1921 0.3772 0.2944 H
0.2597 0.9085 0.6977 H
0.3447 0.8689 0.4071 H
0.3772 0.1921 0.7944 H
0.3948 0.1903 0.4080 H
0.6052 0.8097 0.5920 H
0.6228 0.8079 0.2056 H
0.6553 0.1311 0.5929 H
0.7403 0.0915 0.3023 H
0.8079 0.6228 0.7056 H
0.8097 0.6052 0.0920 H
0.8689 0.3447 0.9071 H
0.9085 0.2597 0.1977 H
0.0106 0.2496 0.5462 S
0.2496 0.0106 0.0462 S
0.4985 0.5015 0.7500 S
0.5015 0.4985 0.2500 S
0.7504 0.9894 0.9538 S
0.9894 0.7504 0.4538 S
0.0077 0.1839 0.6750 O
0.0643 0.1420 0.4348 O
0.1125 0.3560 0.5792 O
0.1308 0.6829 0.5038 O
0.1420 0.0643 0.9348 O
0.1839 0.0077 0.1750 O
0.3171 0.8692 0.9962 O
0.3531 0.4859 0.6895 O
0.3560 0.1125 0.0792 O
0.4069 0.5428 0.3637 O
0.4572 0.5931 0.1363 O
0.4859 0.3531 0.1895 O
0.5141 0.6469 0.8105 O
0.5428 0.4069 0.8637 O
0.5931 0.4572 0.6363 O
0.6440 0.8875 0.9208 O
0.6469 0.5141 0.3105 O
0.6829 0.1308 0.0038 O
0.8161 0.9923 0.8250 O
0.8580 0.9357 0.0652 O
0.8692 0.3171 0.4962 O
0.8875 0.6440 0.4208 O
0.9357 0.8580 0.5652 O
0.9923 0.8161 0.3250 O
```

Energy of formation from the pure elements in meV/atom: -518
DFT total energy in eV per atom: -4.11
Space-group type: C2/c